No. 1
VASP calculation (PBE) on K3CaP2HO8 after structural relaxation.

## Properties
- formation enthalpy at 0 K (kJ/mol of formula units) = -3943

Cell lengths 9.9825, 5.8123, 7.5216 Å; angles 90.00, 94.63, 90.00 degrees
Space group C2/m (No. 12)
Asymmetric unit:
1 K 0.0000 0.0000 0.0000 (multiplicity 2)
2 K 0.1697 0.5000 0.6905 (multiplicity 4)
3 Ca 0.0000 0.0000 0.5000 (multiplicity 2)
4 P 0.1598 0.5000 0.2486 (multiplicity 4)
5 H 0.0000 0.5000 0.0000 (multiplicity 2)
6 O 0.0987 0.2809 0.3283 (multiplicity 8)
7 O 0.1208 0.5000 0.0402 (multiplicity 4)
8 O 0.1852 0.0000 0.7191 (multiplicity 4)

No. 2
VASP calculation (PBE) on Ca4Mg3H14 after structural relaxation.

## Properties
- formation enthalpy at 0 K (kJ/mol of formula units) = -1036

Cell lengths 6.2395, 6.2395, 6.8603 Å; angles 90.00, 90.00, 120.00 degrees
Space group P-62m (No. 189)
Asymmetric unit:
1 Ca 0.0000 0.0000 0.2351 (multiplicity 2)
2 Ca 0.3333 0.6667 0.0000 (multiplicity 2)
3 Mg 0.0000 0.5537 0.5000 (multiplicity 3)
4 H 0.0000 0.2293 0.5000 (multiplicity 3)
5 H 0.0000 0.2628 0.0000 (multiplicity 3)
6 H 0.0000 0.6113 0.2237 (multiplicity 6)
7 H 0.3333 0.6667 0.5000 (multiplicity 2)

No. 3
VASP calculation (PBE) on Ca2MgP2H4O10 after structural relaxation.

## Properties
- formation enthalpy at 0 K (kJ/mol of formula units) = -4809

Cell lengths 5.5125, 5.7738, 6.8863 Å; angles 107.64, 97.10, 108.74 degrees
Space group P-1 (No. 2)
Asymmetric unit:
1 Ca 0.1518 0.2994 0.2595 (multiplicity 2)
2 Mg 0.5000 0.0000 0.5000 (multiplicity 1)
3 P 0.1634 0.3361 0.7435 (multiplicity 2)
4 H 0.3538 0.8761 0.1023 (multiplicity 2)
5 H 0.4196 0.8286 0.8163 (multiplicity 2)
6 O 0.0965 0.7426 0.4264 (multiplicity 2)
7 O 0.1329 0.1608 0.8751 (multiplicity 2)
8 O 0.2222 0.6273 0.8838 (multiplicity 2)
9 O 0.3909 0.3334 0.6275 (multiplicity 2)
10 O 0.4316 0.0498 0.2226 (multiplicity 2)